(1)
Entry from Materials Project: crystalline Mg2Cr3O8 at its relaxed geometry (PBE with a Hubbard U).

Summary:
- ΔH_f (0 K): -2.37 eV per atom
- M_tot: 6.000 μB/f.u.
- Space group: No. 186
- Crystal system: hexagonal
- Energy above the lowest structure with this stoichiometry: 0.000 eV per atom

abc: 5.858 5.858 9.496
angles: 90.00 90.00 120.00
Element x y z (fractional)
O 0.163 0.837 0.649
O 0.667 0.333 0.632
O 0.163 0.327 0.649
O 0.038 0.519 0.363
O 0.519 0.481 0.863
Cr 0.836 0.673 0.744
Mg 0.667 0.333 0.020
O 0.327 0.163 0.149
O 0.481 0.962 0.363
O 0.962 0.481 0.863
O 0.333 0.667 0.132
Cr 0.327 0.164 0.744
O 0.519 0.038 0.863
Mg 0.333 0.667 0.520
O 0.000 0.000 0.353
Cr 0.673 0.836 0.244
Mg 0.333 0.667 0.922
O 0.673 0.837 0.649
Cr 0.164 0.836 0.244
Cr 0.836 0.164 0.744
O 0.481 0.519 0.363
Mg 0.667 0.333 0.422
O 0.837 0.673 0.149
Cr 0.164 0.327 0.244
O 0.000 0.000 0.853
O 0.837 0.163 0.149

(2)
Entry from Materials Project: crystalline MgCr4O8 at its relaxed geometry (PBE with a Hubbard U).

Summary:
- ΔH_f (0 K): -2.05 eV per atom
- M_tot: 10.000 μB/f.u.
- Space group: No. 1
- Crystal system: triclinic
- Energy above the lowest structure with this stoichiometry: 0.204 eV per atom

abc: 5.076 4.975 5.523
angles: 88.07 84.33 80.92
Element x y z (fractional)
Cr 0.479 0.989 0.502
O 0.665 0.658 0.670
O 0.303 0.308 0.296
O 0.156 0.728 0.938
O 0.131 0.843 0.418
O 0.805 0.149 0.549
O 0.582 0.802 0.171
O 0.864 0.273 0.085
Mg 0.797 0.941 0.871
Cr 0.213 0.009 0.109
Cr 0.500 0.483 0.983
O 0.394 0.169 0.830
Cr 0.916 0.468 0.398

ΔH_f (0 K) of number 1 (Mg2Cr3O8)?
-2.37 eV per atom